Density functional theory data (GGA-PBE) for an optimized crystal structure of AlSnPH18C6Cl4.

Calculated values
**ΔH_f (0 K)**: -482 meV/atom

Cell lengths 18.889, 11.357, 9.193 Å; angles 90.00, 90.00, 90.00 degrees
Space group Pnma (No. 62)
Inequivalent atoms, fractional coordinates:
Al1 0.125 0.250 0.189 x4
Sn1 0.197 0.750 0.179 x4
P1 0.088 0.750 0.359 x4
H1 0.003 0.671 0.189 x8
H2 0.036 0.629 0.546 x8
H3 0.039 0.250 0.665 x4
H4 0.082 0.542 0.414 x8
H5 0.113 0.671 0.960 x8
H6 0.130 0.623 0.550 x8
H7 0.187 0.750 0.887 x4
H8 0.194 0.113 0.770 x8
H9 0.225 0.538 0.308 x8
H10 0.241 0.038 0.627 x8
C1 0.005 0.750 0.258 x4
C2 0.084 0.623 0.479 x8
C3 0.146 0.750 0.971 x4
C4 0.246 0.090 0.727 x8
Cl1 0.067 0.094 0.126 x8
Cl2 0.138 0.250 0.425 x4
Cl3 0.228 0.250 0.089 x4